No. 1
Entry from the Materials Project: an optimized crystal structure of RbCSO3F3 (GGA-PBE).

The calculation puts the theoretical density at 2.44 g/cm³. Its uncorrected energy is -49.5 eV/f.u. The formation energy from the elements comes out at -2.00 eV per atom. The energy above the most stable polymorph in this dataset comes out at 0.0 meV per atom. As for the space-group type: No. 4. The value obtained for the MP2020-corrected energy is -105.946 eV for the cell shown.

abc: 5.8602 5.2858 10.5824
angles: 76.41 90.00 90.00
Closest atoms and distances in Å follow each position.
Element x y z (fractional)
1 Rb 0.6523 0.9914 0.8561  6 O 2.90-3.20, 1 F 3.21
2 Rb 0.1523 0.0086 0.1439  6 O 2.90-3.20, 1 F 3.21
3 C 0.0665 0.6212 0.6480  3 F 1.35-1.37
4 C 0.5665 0.3788 0.3520  3 F 1.35-1.37
5 S 0.6687 0.4324 0.1801  3 O 1.46
6 S 0.1687 0.5676 0.8199  3 O 1.46
7 O 0.0091 0.3742 0.8920  1 S 1.46
8 O 0.4035 0.4781 0.8143  1 S 1.46
9 O 0.9035 0.5219 0.1857  1 S 1.46
10 O 0.5091 0.6258 0.1080  1 S 1.46
11 O 0.1481 0.8260 0.8470  1 S 1.46
12 O 0.6481 0.1740 0.1530  1 S 1.46
13 F 0.2035 0.7893 0.5654  1 C 1.35
14 F 0.5598 0.6060 0.3904  1 C 1.36
15 F 0.7035 0.2107 0.4346  1 C 1.35
16 F 0.0598 0.3940 0.6096  1 C 1.36
17 F 0.8510 0.7227 0.6370  1 C 1.37
18 F 0.3510 0.2773 0.3630  1 C 1.37

=====

No. 2
Entry from the Materials Project: an optimized crystal structure of RbCSO3F3 (GGA-PBE).

The calculation puts the theoretical density at 2.46 g/cm³. Its uncorrected energy is -49.4 eV/f.u. The formation energy from the elements comes out at -2.00 eV per atom. The energy above the most stable polymorph in this dataset comes out at 8.8 meV per atom. As for the space-group type: No. 8. The value obtained for the MP2020-corrected energy is -423.151 eV for the cell shown.

abc: 15.7919 15.7919 5.2912
angles: 82.10 82.10 100.15
Closest atoms and distances in Å follow each position.
Element x y z (fractional)
1 Rb 0.8871 0.1320 0.4917  6 O 2.96-3.26
2 Rb 0.0894 0.5987 0.5110  5 O 2.90-3.15
3 Rb 0.5987 0.0894 0.5110  5 O 2.90-3.15
4 Rb 0.8726 0.8726 0.4842  4 O 2.90-3.04
5 Rb 0.5993 0.3478 0.5059  2 O 2.74-2.80, 1 F 2.84
6 Rb 0.3212 0.3212 0.5094  5 O 3.07-3.20
7 Rb 0.1320 0.8871 0.4917  6 O 2.96-3.26
8 Rb 0.3478 0.5993 0.5059  2 O 2.74-2.80, 1 F 2.84
9 C 0.3694 0.7923 0.8828  3 F 1.35-1.37
10 C 0.0745 0.3803 0.1105  3 F 1.35-1.37
11 C 0.7923 0.3694 0.8828  3 F 1.35-1.37
12 C 0.3803 0.0745 0.1105  3 F 1.35-1.37
13 C 0.8644 0.6385 0.1618  3 F 1.36
14 C 0.1289 0.1289 0.8323  3 F 1.35-1.36
15 C 0.5789 0.5789 0.8080  3 F 1.35-1.36
16 C 0.6385 0.8644 0.1618  3 F 1.36
17 S 0.0347 0.0347 0.8864  3 O 1.46-1.47
18 S 0.7597 0.2471 0.9057  3 O 1.46-1.47
19 S 0.4363 0.1916 0.0529  3 O 1.46
20 S 0.1916 0.4363 0.0529  3 O 1.46
21 S 0.7275 0.9641 0.0844  3 O 1.46-1.47
22 S 0.9641 0.7275 0.0844  3 O 1.46-1.47
23 S 0.2471 0.7597 0.9057  3 O 1.46-1.47
24 S 0.4874 0.4874 0.9638  3 O 1.46
25 O 0.2137 0.8311 0.0076  1 S 1.46
26 O 0.7416 0.9828 0.3415  1 S 1.47
27 O 0.9347 0.7995 0.9415  1 S 1.46
28 O 0.0224 0.0224 0.6226  1 S 1.47
29 O 0.1965 0.4972 0.8148  1 S 1.46
30 O 0.4548 0.4548 0.7420  1 S 1.46
31 O 0.6756 0.2268 0.0761  1 S 1.46
32 O 0.2395 0.3660 0.0266  1 S 1.46
33 O 0.2012 0.4761 0.2832  1 S 1.46
34 O 0.6897 0.0284 0.9362  1 S 1.46
35 O 0.7995 0.9347 0.9415  1 S 1.46
36 O 0.4972 0.1965 0.8148  1 S 1.46
37 O 0.0668 0.9646 0.0293  1 S 1.46
38 O 0.8311 0.2137 0.0076  1 S 1.46
39 O 0.0284 0.6897 0.9362  1 S 1.46
40 O 0.5297 0.4279 0.1146  1 S 1.46
41 O 0.9828 0.7416 0.3415  1 S 1.47
42 O 0.7548 0.2363 0.6365  1 S 1.47
43 O 0.4279 0.5297 0.1146  1 S 1.46
44 O 0.9646 0.0668 0.0293  1 S 1.46
45 O 0.4761 0.2012 0.2832  1 S 1.46
46 O 0.2268 0.6756 0.0761  1 S 1.46
47 O 0.2363 0.7548 0.6365  1 S 1.47
48 O 0.3660 0.2395 0.0266  1 S 1.46
49 F 0.5616 0.8842 0.2624  1 C 1.36
50 F 0.0487 0.3624 0.8865  1 C 1.35
51 F 0.7498 0.4121 0.7123  1 C 1.37
52 F 0.4121 0.7498 0.7123  1 C 1.37
53 F 0.7703 0.3943 0.1157  1 C 1.36
54 F 0.4326 0.0226 0.2107  1 C 1.37
55 F 0.8787 0.3996 0.8018  1 C 1.35
56 F 0.0592 0.3042 0.2798  1 C 1.36
57 F 0.5487 0.6397 0.6555  1 C 1.36
58 F 0.8027 0.6579 0.3383  1 C 1.36
59 F 0.1107 0.2013 0.6956  1 C 1.36
60 F 0.6579 0.8027 0.3383  1 C 1.36
61 F 0.3943 0.7703 0.1157  1 C 1.36
62 F 0.2013 0.1107 0.6956  1 C 1.36
63 F 0.8292 0.6267 0.9466  1 C 1.36
64 F 0.6186 0.6186 0.9832  1 C 1.35
65 F 0.6267 0.8292 0.9466  1 C 1.36
66 F 0.1484 0.1484 0.0609  1 C 1.35
67 F 0.8842 0.5616 0.2624  1 C 1.36
68 F 0.0226 0.4326 0.2107  1 C 1.37
69 F 0.3042 0.0592 0.2798  1 C 1.36
70 F 0.3996 0.8787 0.8018  1 C 1.35
71 F 0.6397 0.5487 0.6555  1 C 1.36
72 F 0.3624 0.0487 0.8865  1 C 1.35

=====

No. 3
Entry from the Materials Project: an optimized crystal structure of RbSb2C2O4F5 (GGA-PBE).

The calculation puts the theoretical density at 3.59 g/cm³. Its uncorrected energy is -83.4 eV/f.u. The formation energy from the elements comes out at -2.24 eV per atom. As for the space-group type: No. 19. The value obtained for the MP2020-corrected energy is -353.689 eV for the cell shown.

abc: 6.1530 6.6590 23.1378
angles: 90.00 90.00 90.00
Closest atoms and distances in Å follow each position.
Element x y z (fractional)
1 Rb 0.4776 0.0053 0.5039  8 F 2.87-3.05
2 Rb 0.9776 0.4947 0.4961  8 F 2.87-3.05
3 Rb 0.0224 0.9947 0.0039  8 F 2.87-3.05
4 Rb 0.5224 0.5053 0.9961  8 F 2.87-3.05
5 Sb 0.4878 0.9908 0.8853  3 F 1.99-2.04
6 Sb 0.5350 0.5489 0.3574  2 F 2.00-2.05, 1 O 2.10
7 Sb 0.5122 0.4908 0.6147  3 F 1.99-2.04
8 Sb 0.9650 0.4511 0.8574  2 F 2.00-2.05, 1 O 2.10
9 Sb 0.9878 0.5092 0.1147  3 F 1.99-2.04
10 Sb 0.0350 0.9511 0.6426  2 F 2.00-2.05, 1 O 2.10
11 Sb 0.4650 0.0489 0.1426  2 F 2.00-2.05, 1 O 2.10
12 Sb 0.0122 0.0092 0.3853  3 F 1.99-2.04
13 C 0.6793 0.4435 0.2354  2 O 1.26-1.28
14 C 0.6821 0.3752 0.7550  2 O 1.23-1.31
15 C 0.1793 0.0565 0.7646  2 O 1.26-1.28
16 C 0.3207 0.9435 0.2646  2 O 1.26-1.28
17 C 0.1821 0.1248 0.2450  2 O 1.23-1.31
18 C 0.8207 0.5565 0.7354  2 O 1.26-1.28
19 C 0.8179 0.6248 0.2550  2 O 1.23-1.31
20 C 0.3179 0.8752 0.7450  2 O 1.23-1.31
21 O 0.6965 0.3819 0.1841  1 C 1.26
22 O 0.0520 0.2054 0.2782  1 C 1.23
23 O 0.7854 0.6815 0.3087  1 C 1.31
24 O 0.2146 0.1815 0.1913  1 C 1.31
25 O 0.2854 0.8185 0.6913  1 C 1.31
26 O 0.5520 0.2946 0.7218  1 C 1.23
27 O 0.1965 0.1181 0.8159  1 C 1.26
28 O 0.5528 0.3685 0.2734  1 C 1.28
29 O 0.9472 0.6315 0.7734  1 C 1.28
30 O 0.9480 0.7054 0.2218  1 C 1.23
31 O 0.8035 0.6181 0.6841  1 C 1.26
32 O 0.3035 0.8819 0.3159  1 C 1.26
33 O 0.7146 0.3185 0.8087  1 C 1.31
34 O 0.4480 0.7946 0.7782  1 C 1.23
35 O 0.0528 0.1315 0.7266  1 C 1.28
36 O 0.4472 0.8685 0.2266  1 C 1.28
37 F 0.7511 0.7030 0.0970  1 Sb 1.99
38 F 0.7450 0.3459 0.3877  1 Sb 2.00
39 F 0.1788 0.7657 0.5830  1 Sb 2.05
40 F 0.3212 0.2343 0.0830  1 Sb 2.05
41 F 0.7489 0.2970 0.5970  1 Sb 1.99
42 F 0.5772 0.9274 0.9680  1 Sb 2.04
43 F 0.8212 0.2657 0.9170  1 Sb 2.05
44 F 0.2450 0.1541 0.6123  1 Sb 2.00
45 F 0.0772 0.5726 0.0320  1 Sb 2.04
46 F 0.2489 0.2030 0.4030  1 Sb 1.99
47 F 0.2550 0.8459 0.1123  1 Sb 2.00
48 F 0.2511 0.7970 0.9030  1 Sb 1.99
49 F 0.3189 0.2085 0.9246  1 Sb 2.00
50 F 0.7550 0.6541 0.8877  1 Sb 2.00
51 F 0.6788 0.7343 0.4170  1 Sb 2.05
52 F 0.8189 0.2915 0.0754  1 Sb 2.00
53 F 0.1811 0.7915 0.4246  1 Sb 2.00
54 F 0.9228 0.0726 0.4680  1 Sb 2.04
55 F 0.4228 0.4274 0.5320  1 Sb 2.04
56 F 0.6811 0.7085 0.5754  1 Sb 2.00

=====

No. 4
Entry from the Materials Project: an optimized crystal structure of RbSrCO3F (GGA-PBE).

The calculation puts the theoretical density at 3.44 g/cm³. Its uncorrected energy is -45.6 eV/f.u. The formation energy from the elements comes out at -2.78 eV per atom. The calculation puts the largest piezoelectric modulus at 0.1 C/m². As for the space-group type: No. 187. The value obtained for the MP2020-corrected energy is -48.143 eV for the cell shown.

abc: 5.3748 5.3748 4.8653
angles: 90.00 90.00 120.00
Closest atoms and distances in Å follow each position.
Element x y z (fractional)
1 Rb 0.6667 0.3333 0.0000  6 O 3.03, 3 F 3.10
2 Sr 0.0000 0.0000 0.5000  2 F 2.43, 6 O 2.70
3 C 0.3333 0.6667 0.5000  3 O 1.30
4 O 0.4734 0.9467 0.5000  1 C 1.30
5 O 0.4734 0.5266 0.5000  1 C 1.30
6 O 0.0533 0.5266 0.5000  1 C 1.30
7 F 0.0000 0.0000 0.0000  2 Sr 2.43